Record 1
This record from the Materials Project database describes Li4MnCo2O7 after structural relaxation. The functional is GGA+U.

Geometry as CIF:
```
data_Li4MnCo2O7
_chemical_formula_sum 'Li8 Mn2 Co4 O14'
_space_group_name_H-M_alt 'P -1'
_space_group_IT_number 2
_cell_length_a 3.0206
_cell_length_b 5.0589
_cell_length_c 16.7331
_cell_angle_alpha 90.01
_cell_angle_beta 92.30
_cell_angle_gamma 91.56
loop_
_space_group_symop_operation_xyz
'x,y,z'
'-x,-y,-z'
loop_
_atom_site_label
_atom_site_fract_x
_atom_site_fract_y
_atom_site_fract_z
Li1 0.0000 0.0000 0.0000
Li2 0.0647 0.6457 0.1428
Li3 0.2147 0.9291 0.4279
Li4 0.3604 0.2126 0.7152
Li5 0.5000 0.5000 0.0000
Mn1 0.2938 0.5724 0.5730
Co1 0.1366 0.2793 0.2825
Co2 0.4326 0.8584 0.8640
O1 0.0140 0.3107 0.0767
O2 0.1401 0.9852 0.2127
O3 0.1413 0.5870 0.3536
O4 0.2801 0.2676 0.5005
O5 0.3295 0.8753 0.6445
O6 0.3865 0.5705 0.7883
O7 0.4583 0.1471 0.9201
```

offset from the most stable computed form = 8.03 kJ per mole of atoms
E_form = -1.801 eV/atom
density = 4.06 Mg/m³
final energy = -5.79 eV/atom

=====

Record 2
This record from the Materials Project database describes Li7Mn4CoO12 after structural relaxation. The functional is GGA+U.

Geometry as CIF:
```
data_Li7Mn4CoO12
_chemical_formula_sum 'Li7 Mn4 Co1 O12'
_space_group_name_H-M_alt 'P 1'
_space_group_IT_number 1
_cell_length_a 5.8441
_cell_length_b 5.9714
_cell_length_c 7.6356
_cell_angle_alpha 69.93
_cell_angle_beta 78.87
_cell_angle_gamma 60.81
loop_
_space_group_symop_operation_xyz
'x,y,z'
loop_
_atom_site_label
_atom_site_fract_x
_atom_site_fract_y
_atom_site_fract_z
Li1 0.0000 0.0000 0.0000
Li2 0.0058 0.4804 0.0064
Li3 0.1630 0.3339 0.6628
Li4 0.3278 0.1815 0.3219
Li5 0.4930 0.9990 0.0025
Li6 0.6647 0.8272 0.6698
Li7 0.8389 0.6651 0.3298
Mn1 0.1667 0.8258 0.6675
Mn2 0.4978 0.4991 0.9995
Mn3 0.6706 0.3222 0.6684
Mn4 0.8333 0.1665 0.3286
Co1 0.3243 0.6789 0.3225
O1 0.0268 0.7393 0.4975
O2 0.1549 0.0779 0.1822
O3 0.1889 0.5799 0.1656
O4 0.3375 0.8693 0.8374
O5 0.3620 0.3963 0.8391
O6 0.4963 0.7066 0.5108
O7 0.5203 0.2486 0.5016
O8 0.6345 0.6005 0.1546
O9 0.6567 0.1265 0.1592
O10 0.8056 0.4186 0.8296
O11 0.8327 0.9490 0.8063
O12 0.9731 0.2590 0.5007
```

offset from the most stable computed form = 2.09 kJ per mole of atoms
E_form = -2.063 eV/atom
density = 3.95 Mg/m³
final energy = -6.23 eV/atom

=====

Record 3
This record from the Materials Project database describes Li7Mn4CoO12 after structural relaxation. The functional is GGA+U.

Geometry as CIF:
```
data_Li7Mn4CoO12
_chemical_formula_sum 'Li7 Mn4 Co1 O12'
_space_group_name_H-M_alt 'P 1'
_space_group_IT_number 1
_cell_length_a 5.1002
_cell_length_b 5.9477
_cell_length_c 7.6674
_cell_angle_alpha 79.81
_cell_angle_beta 77.59
_cell_angle_gamma 73.81
loop_
_space_group_symop_operation_xyz
'x,y,z'
loop_
_atom_site_label
_atom_site_fract_x
_atom_site_fract_y
_atom_site_fract_z
Li1 0.0000 0.0000 0.0000
Li2 0.0004 0.3490 0.6631
Li3 0.4951 0.5044 0.5054
Li4 0.9908 0.6644 0.3432
Li5 0.9940 0.5085 0.9984
Li6 0.9964 0.8334 0.6651
Li7 0.9974 0.1695 0.3441
Mn1 0.4939 0.1767 0.8324
Mn2 0.4962 0.3405 0.1699
Mn3 0.4963 0.8319 0.1723
Mn4 0.5008 0.9984 0.5032
Co1 0.4938 0.6693 0.8288
O1 0.2584 0.6919 0.0911
O2 0.2624 0.4788 0.7666
O3 0.2670 0.0234 0.7392
O4 0.2755 0.8469 0.4108
O5 0.2777 0.3120 0.4088
O6 0.2805 0.1560 0.0817
O7 0.7138 0.8591 0.9283
O8 0.7202 0.1604 0.5967
O9 0.7231 0.5220 0.2356
O10 0.7237 0.3207 0.9264
O11 0.7273 0.9847 0.2655
O12 0.7292 0.6961 0.5843
```

offset from the most stable computed form = 3.56 kJ per mole of atoms
E_form = -2.047 eV/atom
density = 3.98 Mg/m³
final energy = -6.21 eV/atom

=====

Record 4
This record from the Materials Project database describes Li3MnCoO5 after structural relaxation. The functional is GGA+U.

Geometry as CIF:
```
data_Li3MnCoO5
_chemical_formula_sum 'Li12 Mn4 Co4 O20'
_space_group_name_H-M_alt 'C 1 2/m 1'
_space_group_IT_number 12
_cell_length_a 24.2060
_cell_length_b 2.9123
_cell_length_c 5.2360
_cell_angle_alpha 90.00
_cell_angle_beta 92.70
_cell_angle_gamma 90.00
loop_
_space_group_symop_operation_xyz
'x,y,z'
'-x,-y,-z'
'-x,y,-z'
'x,-y,z'
'x+1/2,y+1/2,z'
'-x+1/2,-y+1/2,-z'
'-x+1/2,y+1/2,-z'
'x+1/2,-y+1/2,z'
loop_
_atom_site_label
_atom_site_fract_x
_atom_site_fract_y
_atom_site_fract_z
Li1 0.0000 0.0000 0.0000
Li2 0.0000 0.5000 0.5000
Li3 0.0910 0.0000 0.6831
Li4 0.1947 0.5000 0.9088
Mn1 0.1991 0.0000 0.4005
Co1 0.0913 0.5000 0.1686
O1 0.0543 0.0000 0.3435
O2 0.0557 0.5000 0.8633
O3 0.1549 0.0000 0.0966
O4 0.1585 0.5000 0.5412
O5 0.2477 0.5000 0.2813
```

offset from the most stable computed form = 11.62 kJ per mole of atoms
E_form = -1.839 eV/atom
density = 3.87 Mg/m³
final energy = -5.84 eV/atom

=====

Record 5
This record from the Materials Project database describes Li4MnCo2O7 after structural relaxation. The functional is GGA+U.

Geometry as CIF:
```
data_Li4MnCo2O7
_chemical_formula_sum 'Li8 Mn2 Co4 O14'
_space_group_name_H-M_alt 'P 1'
_space_group_IT_number 1
_cell_length_a 2.9435
_cell_length_b 5.0676
_cell_length_c 17.4506
_cell_angle_alpha 84.53
_cell_angle_beta 88.03
_cell_angle_gamma 76.11
loop_
_space_group_symop_operation_xyz
'x,y,z'
loop_
_atom_site_label
_atom_site_fract_x
_atom_site_fract_y
_atom_site_fract_z
Li1 0.0000 0.0000 0.0000
Li2 0.0170 0.9885 0.4987
Li3 0.1492 0.7075 0.7841
Li4 0.3063 0.3999 0.0685
Li5 0.4471 0.1252 0.3543
Li6 0.5917 0.8404 0.6411
Li7 0.7631 0.5454 0.9343
Li8 0.8714 0.2704 0.2118
Mn1 0.4458 0.1315 0.8623
Mn2 0.7410 0.5525 0.4252
Co1 0.1576 0.6992 0.2821
Co2 0.3092 0.4089 0.5702
Co3 0.5833 0.8426 0.1362
Co4 0.8888 0.2670 0.7137
O1 0.0449 0.8820 0.8875
O2 0.0728 0.8254 0.3857
O3 0.2361 0.5353 0.6801
O4 0.2390 0.5803 0.1817
O5 0.3720 0.2709 0.9558
O6 0.4029 0.2815 0.4620
O7 0.5021 0.9560 0.2421
O8 0.5249 0.0071 0.7514
O9 0.6601 0.6779 0.5321
O10 0.6596 0.7031 0.0481
O11 0.8256 0.4292 0.3210
O12 0.8474 0.3790 0.8239
O13 0.9280 0.1019 0.1105
O14 0.9504 0.1437 0.6057
```

offset from the most stable computed form = 5.54 kJ per mole of atoms
E_form = -1.827 eV/atom
density = 4.13 Mg/m³
final energy = -5.82 eV/atom

=====

Record 6
This record from the Materials Project database describes Li7Mn4CoO12 after structural relaxation. The functional is GGA+U.

Geometry as CIF:
```
data_Li7Mn4CoO12
_chemical_formula_sum 'Li7 Mn4 Co1 O12'
_space_group_name_H-M_alt 'P 1'
_space_group_IT_number 1
_cell_length_a 2.9703
_cell_length_b 6.4942
_cell_length_c 12.0216
_cell_angle_alpha 75.54
_cell_angle_beta 86.47
_cell_angle_gamma 76.84
loop_
_space_group_symop_operation_xyz
'x,y,z'
loop_
_atom_site_label
_atom_site_fract_x
_atom_site_fract_y
_atom_site_fract_z
Li1 0.0000 0.0000 0.0000
Li2 0.0082 0.0007 0.7578
Li3 0.3285 0.3339 0.5792
Li4 0.3528 0.3166 0.0858
Li5 0.6482 0.6856 0.9134
Li6 0.6697 0.6656 0.4174
Li7 0.9865 0.0078 0.2409
Mn1 0.3453 0.3227 0.8392
Mn2 0.6549 0.6775 0.1614
Mn3 0.6752 0.6706 0.6687
Mn4 0.9966 0.0058 0.4960
Co1 0.3171 0.3355 0.3287
O1 0.1314 0.6781 0.5426
O2 0.1488 0.6525 0.2781
O3 0.1844 0.6634 0.0586
O4 0.2144 0.6534 0.7895
O5 0.4559 0.0192 0.3750
O6 0.4817 0.0252 0.8691
O7 0.5171 0.9757 0.1307
O8 0.5424 0.9929 0.6199
O9 0.7876 0.3497 0.2131
O10 0.8167 0.3357 0.9420
O11 0.8527 0.3466 0.7212
O12 0.8614 0.3297 0.4506
```

offset from the most stable computed form = 4.29 kJ per mole of atoms
E_form = -2.040 eV/atom
density = 3.94 Mg/m³
final energy = -6.20 eV/atom